(1)
First-principles (GGA-PBE) data for crystalline UGa2Cu6 at its relaxed geometry, as listed in the Materials Project database.

Lattice parameters (Å, degrees): 8.7230 8.7230 12.3012 90.00 90.00 120.00
Space group R3m (No. 160, hexagonal axes)
One atom of each set of equivalent atoms:
U: 0.0000 0.0000 0.0000 [3 per cell]
U: 0.0000 0.0000 0.3052 [3 per cell]
Ga: 0.0000 0.0000 0.7220 [3 per cell]
Ga: 0.0203 0.5102 0.1574 [9 per cell]
Cu: 0.0111 0.5055 0.8099 [9 per cell]
Cu: 0.0294 0.3621 0.3233 [18 per cell]
Cu: 0.1673 0.3345 0.8359 [9 per cell]

=====

(2)
First-principles (GGA-PBE) data for crystalline RePCl9 at its relaxed geometry, as listed in the Materials Project database.

Lattice parameters (Å, degrees): 7.2113 9.3542 9.8729 102.11 96.70 94.79
Space group P-1 (No. 2)
One atom of each set of equivalent atoms:
Re: 0.1086 0.1303 0.1680 [2 per cell]
P: 0.4490 0.3096 0.7204 [2 per cell]
Cl: 0.0159 0.7397 0.6418 [2 per cell]
Cl: 0.0789 0.3281 0.0575 [2 per cell]
Cl: 0.1284 0.9292 0.2770 [2 per cell]
Cl: 0.2058 0.9825 0.9541 [2 per cell]
Cl: 0.2536 0.4446 0.7322 [2 per cell]
Cl: 0.3389 0.1164 0.6111 [2 per cell]
Cl: 0.3506 0.6130 0.3716 [2 per cell]
Cl: 0.4204 0.2150 0.2543 [2 per cell]
Cl: 0.4461 0.7031 0.0914 [2 per cell]

=====

(3)
First-principles (GGA-PBE) data for crystalline K2ZnCl4 at its relaxed geometry, as listed in the Materials Project database.

Lattice parameters (Å, degrees): 9.0521 7.4005 12.7451 90.00 90.00 90.00
Space group Pnma (No. 62)
One atom of each set of equivalent atoms:
K: 0.0051 0.2500 0.1859 [4 per cell]
K: 0.1324 0.7500 0.4151 [4 per cell]
Zn: 0.2186 0.7500 0.0810 [4 per cell]
Cl: 0.0296 0.2500 0.9345 [4 per cell]
Cl: 0.1667 0.2500 0.4193 [4 per cell]
Cl: 0.1964 0.0010 0.6686 [8 per cell]

=====

(4)
First-principles (GGA-PBE) data for crystalline SmTlPd at its relaxed geometry, as listed in the Materials Project database.

Lattice parameters (Å, degrees): 7.9608 7.9608 3.8551 90.00 90.00 120.00
Space group P-62m (No. 189)
One atom of each set of equivalent atoms:
Sm: 0.0000 0.4030 0.0000 [3 per cell]
Tl: 0.0000 0.7343 0.5000 [3 per cell]
Pd: 0.0000 0.0000 0.0000 [1 per cell]
Pd: 0.3333 0.6667 0.5000 [2 per cell]

=====

(5)
First-principles (GGA-PBE) data for crystalline BaZnGe at its relaxed geometry, as listed in the Materials Project database.

Lattice parameters (Å, degrees): 4.4855 4.4855 9.7968 90.00 90.00 120.00
Space group P6_3/mmc (No. 194)
One atom of each set of equivalent atoms:
Ba: 0.0000 0.0000 0.0000 [2 per cell]
Zn: 0.3333 0.6667 0.2500 [2 per cell]
Ge: 0.3333 0.6667 0.7500 [2 per cell]

=====

(6)
First-principles (GGA-PBE) data for crystalline Cr5Bi6Se16 at its relaxed geometry, as listed in the Materials Project database.

Lattice parameters (Å, degrees): 6.2308 18.2064 11.5689 90.00 94.98 90.00
Space group Cm (No. 8)
One atom of each set of equivalent atoms:
Cr: 0.0000 0.0000 0.0000 [2 per cell]
Cr: 0.0030 0.3997 0.9953 [4 per cell]
Cr: 0.0115 0.1984 0.9925 [4 per cell]
Bi: 0.0236 0.0000 0.6501 [2 per cell]
Bi: 0.0656 0.3345 0.6443 [4 per cell]
Bi: 0.4169 0.0000 0.3421 [2 per cell]
Bi: 0.4397 0.3332 0.3458 [4 per cell]
Se: 0.0124 0.1664 0.5976 [4 per cell]
Se: 0.0128 0.5000 0.5959 [2 per cell]
Se: 0.1802 0.5000 0.1179 [2 per cell]
Se: 0.1887 0.0978 0.1215 [4 per cell]
Se: 0.1975 0.3001 0.1130 [4 per cell]
Se: 0.3112 0.0000 0.8770 [2 per cell]
Se: 0.3178 0.3997 0.8716 [4 per cell]
Se: 0.3296 0.2018 0.8717 [4 per cell]
Se: 0.4816 0.5000 0.3978 [2 per cell]
Se: 0.4883 0.1675 0.3921 [4 per cell]

=====

(7)
First-principles (GGA-PBE) data for crystalline Sc2S3O12 at its relaxed geometry, as listed in the Materials Project database.

Lattice parameters (Å, degrees): 8.8517 8.8517 22.8551 90.00 90.00 120.00
Space group R-3c (No. 167, hexagonal axes)
One atom of each set of equivalent atoms:
Sc: 0.0000 0.0000 0.1441 [12 per cell]
S: 0.0000 0.2865 0.2500 [18 per cell]
O: 0.0281 0.2061 0.9080 [36 per cell]
O: 0.0299 0.2063 0.1977 [36 per cell]

=====

(8)
First-principles (GGA-PBE) data for crystalline Na2ZrSi4O11 at its relaxed geometry, as listed in the Materials Project database.

Lattice parameters (Å, degrees): 11.1912 10.2473 8.6935 90.00 100.48 90.00
Space group C2/c (No. 15)
One atom of each set of equivalent atoms:
Na: 0.0000 0.0756 0.2500 [4 per cell]
Na: 0.0000 0.3942 0.2500 [4 per cell]
Zr: 0.2500 0.2500 0.5000 [4 per cell]
Si: 0.0502 0.2172 0.9269 [8 per cell]
Si: 0.2357 0.4278 0.8607 [8 per cell]
O: 0.0000 0.1593 0.7500 [4 per cell]
O: 0.0551 0.2315 0.4691 [8 per cell]
O: 0.1150 0.3589 0.9138 [8 per cell]
O: 0.1438 0.1026 0.0037 [8 per cell]
O: 0.2110 0.4168 0.3547 [8 per cell]
O: 0.2384 0.1344 0.3011 [8 per cell]

=====

Number 1: formation energy from the elements 0.02 eV/atom. Number 2: formation energy from the elements -1.12 eV/atom. Number 3: formation energy from the elements -1.99 eV/atom. Number 4: formation energy from the elements -0.65 eV/atom. Number 5: formation energy from the elements -0.49 eV/atom. Number 6: formation energy from the elements -0.67 eV/atom. Number 7: formation energy from the elements -2.58 eV/atom. Number 8: formation energy from the elements -3.20 eV/atom.